# 1
Compound: CdH2O2
Source: Materials Project
Functional: PBE
Structure: optimized geometry

Calculated values
energy with MP2020 corrections: -4.776 eV/atom
E: -4.501 eV/atom
calculated formation energy: -1.25 eV per atom
maximum piezoelectric response: 1.253 C/m²
ΔE to the lowest computed polymorph: 0.070 eV per atom
space-group type: No. 8

a b c (Å): 6.440 6.440 3.272
angles (deg): 80.71 80.71 123.73
Sites, in units of the cell vectors:
Cd: 0.790 0.066 0.032
Cd: 0.066 0.790 0.032
H: 0.666 0.304 0.516
H: 0.304 0.666 0.516
H: 0.384 0.384 0.402
H: 0.578 0.578 0.654
O: 0.349 0.842 0.419
O: 0.842 0.349 0.419
O: 0.396 0.396 0.693
O: 0.837 0.837 0.602

---

# 2
Compound: NaSr4As4
Source: Materials Project
Functional: PBE
Structure: optimized geometry

Calculated values
E: -3.941 eV/atom
calculated formation energy: -0.97 eV per atom
space-group type: No. 62

a b c (Å): 7.830 8.313 15.945
angles (deg): 90.00 90.00 90.00
Sites, in units of the cell vectors:
Na: 0.184 0.518 0.750
Na: 0.816 0.482 0.250
Na: 0.316 0.018 0.250
Na: 0.684 0.982 0.750
Sr: 0.352 0.167 0.623
Sr: 0.648 0.833 0.377
Sr: 0.148 0.667 0.377
Sr: 0.648 0.833 0.123
Sr: 0.852 0.333 0.623
Sr: 0.352 0.167 0.877
Sr: 0.852 0.333 0.877
Sr: 0.148 0.667 0.123
Sr: 0.003 0.193 0.095
Sr: 0.997 0.807 0.905
Sr: 0.497 0.693 0.905
Sr: 0.997 0.807 0.595
Sr: 0.503 0.307 0.095
Sr: 0.003 0.193 0.405
Sr: 0.503 0.307 0.405
Sr: 0.497 0.693 0.595
As: 0.050 0.084 0.750
As: 0.950 0.916 0.250
As: 0.450 0.584 0.250
As: 0.550 0.416 0.750
As: 0.194 0.463 0.538
As: 0.806 0.537 0.462
As: 0.306 0.963 0.462
As: 0.806 0.537 0.038
As: 0.694 0.037 0.538
As: 0.194 0.463 0.962
As: 0.694 0.037 0.962
As: 0.306 0.963 0.038
As: 0.284 0.873 0.750
As: 0.716 0.127 0.250
As: 0.216 0.373 0.250
As: 0.784 0.627 0.750

---

# 3
Compound: Mg5Si6O18
Source: Materials Project
Functional: PBE
Structure: optimized geometry

Calculated values
energy with MP2020 corrections: -7.526 eV/atom
E: -7.100 eV/atom
calculated formation energy: -3.06 eV per atom
space-group type: No. 60

a b c (Å): 5.373 9.463 27.621
angles (deg): 90.00 90.00 90.00
Sites, in units of the cell vectors:
Mg: 0.750 0.500 0.526
Mg: 0.250 0.000 0.974
Mg: 0.250 0.500 0.474
Mg: 0.750 0.000 0.026
Mg: 0.750 0.000 0.914
Mg: 0.250 0.500 0.586
Mg: 0.250 0.000 0.086
Mg: 0.750 0.500 0.414
Mg: 0.750 0.500 0.647
Mg: 0.250 0.000 0.853
Mg: 0.250 0.500 0.353
Mg: 0.750 0.000 0.147
Mg: 0.750 0.000 0.797
Mg: 0.250 0.500 0.703
Mg: 0.250 0.000 0.203
Mg: 0.750 0.500 0.297
Mg: 0.750 0.500 0.756
Mg: 0.250 0.000 0.744
Mg: 0.250 0.500 0.244
Mg: 0.750 0.000 0.256
Si: 0.913 0.290 0.972
Si: 0.413 0.210 0.528
Si: 0.087 0.790 0.528
Si: 0.587 0.710 0.972
Si: 0.087 0.710 0.028
Si: 0.587 0.790 0.472
Si: 0.913 0.210 0.472
Si: 0.413 0.290 0.028
Si: 0.923 0.287 0.860
Si: 0.423 0.213 0.640
Si: 0.077 0.787 0.640
Si: 0.577 0.713 0.860
Si: 0.077 0.713 0.140
Si: 0.577 0.787 0.360
Si: 0.923 0.213 0.360
Si: 0.423 0.287 0.140
Si: 0.921 0.204 0.697
Si: 0.421 0.296 0.803
Si: 0.079 0.704 0.803
Si: 0.579 0.796 0.697
Si: 0.079 0.796 0.303
Si: 0.579 0.704 0.197
Si: 0.921 0.296 0.197
Si: 0.421 0.204 0.303
O: 0.898 0.411 0.586
O: 0.398 0.089 0.914
O: 0.102 0.911 0.914
O: 0.602 0.589 0.586
O: 0.102 0.589 0.414
O: 0.602 0.911 0.086
O: 0.898 0.089 0.086
O: 0.398 0.411 0.414
O: 0.663 0.347 0.000
O: 0.163 0.153 0.500
O: 0.337 0.847 0.500
O: 0.837 0.653 0.000
O: 0.337 0.653 0.000
O: 0.837 0.847 0.500
O: 0.663 0.153 0.500
O: 0.163 0.347 0.000
O: 0.912 0.117 0.972
O: 0.412 0.383 0.528
O: 0.088 0.617 0.528
O: 0.588 0.883 0.972
O: 0.088 0.883 0.028
O: 0.588 0.617 0.472
O: 0.912 0.383 0.472
O: 0.412 0.117 0.028
O: 0.909 0.346 0.916
O: 0.409 0.154 0.584
O: 0.091 0.846 0.584
O: 0.591 0.654 0.916
O: 0.091 0.654 0.084
O: 0.591 0.846 0.416
O: 0.909 0.154 0.416
O: 0.409 0.346 0.084
O: 0.912 0.115 0.858
O: 0.412 0.385 0.642
O: 0.088 0.615 0.642
O: 0.588 0.885 0.858
O: 0.088 0.885 0.142
O: 0.588 0.615 0.358
O: 0.912 0.385 0.358
O: 0.412 0.115 0.142
O: 0.680 0.155 0.665
O: 0.180 0.345 0.835
O: 0.320 0.655 0.835
O: 0.820 0.845 0.665
O: 0.320 0.845 0.335
O: 0.820 0.655 0.165
O: 0.680 0.345 0.165
O: 0.180 0.155 0.335
O: 0.687 0.350 0.829
O: 0.187 0.150 0.671
O: 0.313 0.850 0.671
O: 0.813 0.650 0.829
O: 0.313 0.650 0.171
O: 0.813 0.850 0.329
O: 0.687 0.150 0.329
O: 0.187 0.350 0.171
O: 0.920 0.378 0.701
O: 0.420 0.122 0.799
O: 0.080 0.878 0.799
O: 0.580 0.622 0.701
O: 0.080 0.622 0.299
O: 0.580 0.878 0.201
O: 0.920 0.122 0.201
O: 0.420 0.378 0.299
O: 0.936 0.119 0.748
O: 0.436 0.381 0.752
O: 0.064 0.619 0.752
O: 0.564 0.881 0.748
O: 0.064 0.881 0.252
O: 0.564 0.619 0.248
O: 0.936 0.381 0.248
O: 0.436 0.119 0.252

---

# 4
Compound: BaSi2Ir2
Source: Materials Project
Functional: PBE
Structure: optimized geometry

Calculated values
E: -6.943 eV/atom
calculated formation energy: -0.85 eV per atom
space-group type: No. 14

a b c (Å): 6.775 7.791 7.977
angles (deg): 88.16 90.00 90.00
Sites, in units of the cell vectors:
Ba: 0.381 0.001 0.235
Ba: 0.881 0.499 0.765
Ba: 0.119 0.501 0.235
Ba: 0.619 0.999 0.765
Si: 0.420 0.371 0.927
Si: 0.148 0.187 0.563
Si: 0.648 0.313 0.437
Si: 0.852 0.813 0.437
Si: 0.920 0.129 0.073
Si: 0.580 0.629 0.073
Si: 0.080 0.871 0.927
Si: 0.352 0.687 0.563
Ir: 0.395 0.386 0.622
Ir: 0.605 0.614 0.378
Ir: 0.105 0.886 0.622
Ir: 0.167 0.170 0.863
Ir: 0.667 0.330 0.137
Ir: 0.833 0.830 0.137
Ir: 0.333 0.670 0.863
Ir: 0.895 0.114 0.378

---

- Look up the E of the second one.
  -3.941 eV/atom

---

- Among the records above, which one has the highest E?
  NaSr4As4

---

- Among the records above, which one has the lowest calculated formation energy?
  Mg5Si6O18

---

- Among the records above, which one has the highest E?
  NaSr4As4